No. 1
## PrNb3O9 (PBE-GGA)

Data for an optimized crystal structure of PrNb3O9.

Calculated values
final energy = -8.866 eV per atom
magnetization = 0.0 μB/f.u.
ΔE_f = -3.217 eV per atom
E above lowest polymorph = 27.6 meV per atom

Lattice parameters (Å, degrees): 5.611 16.847 9.761 54.89 90.26 90.47
Sites, in units of the cell vectors:
1 Pr 0.264 0.911 0.000
2 Pr 0.259 0.250 0.999
3 Pr 0.736 0.756 0.000
4 Pr 0.741 0.416 0.001
5 Nb 0.248 0.999 0.247
6 Nb 0.249 0.836 0.732
7 Nb 0.251 0.658 0.264
8 Nb 0.251 0.507 0.745
9 Nb 0.251 0.332 0.263
10 Nb 0.245 0.167 0.744
11 Nb 0.751 0.830 0.268
12 Nb 0.752 0.667 0.753
13 Nb 0.755 0.499 0.256
14 Nb 0.749 0.334 0.737
15 Nb 0.749 0.160 0.255
16 Nb 0.749 0.008 0.736
17 O 0.000 0.905 0.786
18 O 0.011 0.928 0.203
19 O 0.000 0.762 0.214
20 O 0.987 0.573 0.765
21 O 0.986 0.417 0.233
22 O 0.013 0.094 0.235
23 O 0.215 0.908 0.497
24 O 0.217 0.571 0.500
25 O 0.216 0.238 0.503
26 O 0.303 0.767 0.000
27 O 0.295 0.424 0.999
28 O 0.280 0.098 0.002
29 O 0.500 0.921 0.736
30 O 0.491 0.919 0.233
31 O 0.509 0.748 0.767
32 O 0.508 0.588 0.727
33 O 0.500 0.745 0.264
34 O 0.510 0.593 0.231
35 O 0.502 0.407 0.777
36 O 0.507 0.407 0.270
37 O 0.493 0.259 0.730
38 O 0.498 0.260 0.223
39 O 0.490 0.074 0.769
40 O 0.492 0.079 0.273
41 O 0.697 0.899 0.000
42 O 0.720 0.568 0.998
43 O 0.705 0.243 0.001
44 O 0.785 0.759 0.503
45 O 0.784 0.429 0.497
46 O 0.783 0.096 0.500
47 O 0.989 0.739 0.797
48 O 0.988 0.604 0.202
49 O 0.999 0.396 0.810
50 O 0.014 0.249 0.767
51 O 0.001 0.271 0.190
52 O 0.012 0.063 0.798

No. 2
## Sr2LaCu2Bi2O8 (PBE-GGA)

Data for an optimized crystal structure of Sr2LaCu2Bi2O8.

Calculated values
final energy = -6.060 eV per atom
magnetization = 0.0 μB/f.u.
ΔE_f = -2.168 eV per atom

Lattice parameters (Å, degrees): 15.720 15.720 5.404 90.00 90.00 159.44
Sites, in units of the cell vectors:
1 Sr 0.614 0.888 0.500
2 Sr 0.386 0.112 0.500
3 Sr 0.112 0.386 0.000
4 Sr 0.888 0.614 0.000
5 La 0.500 0.000 0.500
6 La 0.000 0.500 0.000
7 Cu 0.055 0.444 0.500
8 Cu 0.945 0.556 0.500
9 Cu 0.556 0.945 0.000
10 Cu 0.444 0.055 0.000
11 Bi 0.229 0.323 0.500
12 Bi 0.771 0.677 0.500
13 Bi 0.677 0.771 0.000
14 Bi 0.323 0.229 0.000
15 O 0.126 0.355 0.500
16 O 0.874 0.645 0.500
17 O 0.645 0.874 0.000
18 O 0.355 0.126 0.000
19 O 0.697 0.303 0.750
20 O 0.303 0.697 0.250
21 O 0.303 0.697 0.750
22 O 0.697 0.303 0.250
23 O 0.612 0.710 0.500
24 O 0.388 0.290 0.500
25 O 0.290 0.388 0.000
26 O 0.710 0.612 0.000
27 O 0.803 0.197 0.750
28 O 0.197 0.803 0.250
29 O 0.197 0.803 0.750
30 O 0.803 0.197 0.250

No. 3
## BaMn2As2 (PBE-GGA)

Data for an optimized crystal structure of BaMn2As2.

Calculated values
final energy = -6.582 eV per atom
ΔE_f = -0.669 eV per atom

Lattice parameters (Å, degrees): 4.122 4.122 7.280 73.56 73.56 89.99
Sites, in units of the cell vectors:
1 Ba 0.000 0.000 0.000
2 Mn 0.250 0.750 0.500
3 Mn 0.750 0.250 0.500
4 As 0.358 0.358 0.284
5 As 0.642 0.642 0.716

No. 4
## MnCd4S5 (PBE-GGA)

Data for an optimized crystal structure of MnCd4S5.

Calculated values
final energy = -3.968 eV per atom
ΔE_f = -0.866 eV per atom
E above lowest polymorph = 0.0 meV per atom

Lattice parameters (Å, degrees): 11.001 11.001 6.764 89.99 89.99 141.78
Sites, in units of the cell vectors:
1 Mn 0.335 0.933 0.376
2 Mn 0.933 0.335 0.376
3 Cd 0.666 0.263 0.873
4 Cd 0.263 0.666 0.873
5 Cd 0.867 0.070 0.874
6 Cd 0.467 0.467 0.876
7 Cd 0.070 0.867 0.874
8 Cd 0.736 0.531 0.378
9 Cd 0.531 0.736 0.378
10 Cd 0.131 0.131 0.377
11 S 0.663 0.253 0.491
12 S 0.253 0.663 0.491
13 S 0.870 0.080 0.494
14 S 0.469 0.469 0.498
15 S 0.080 0.870 0.494
16 S 0.734 0.533 0.998
17 S 0.334 0.934 0.017
18 S 0.934 0.334 0.017
19 S 0.533 0.734 0.998
20 S 0.132 0.132 0.998

What is the formula in the fourth record? MnCd4S5